# SeO5

A geometry-optimized SeO5 structure (PBE-GGA, the Materials Project database).

Cell and atoms, written as POSCAR:
```
SeO5
1.0
5.476 -5.448 -5.508
-6.200 -5.075 -1.144
-2.854 5.309 -8.087
Se O
8 40
direct
0.897 0.964 0.733
0.103 0.036 0.267
0.603 0.464 0.267
0.103 0.536 0.233
0.397 0.536 0.733
0.897 0.464 0.767
0.397 0.036 0.767
0.603 0.964 0.233
0.935 0.645 0.844
0.065 0.355 0.156
0.565 0.145 0.156
0.065 0.855 0.344
0.435 0.855 0.844
0.935 0.145 0.656
0.435 0.355 0.656
0.565 0.645 0.344
0.699 0.698 0.017
0.301 0.302 0.983
0.801 0.198 0.983
0.301 0.802 0.517
0.199 0.802 0.017
0.699 0.198 0.483
0.199 0.302 0.483
0.801 0.698 0.517
0.543 0.655 0.717
0.457 0.345 0.283
0.957 0.155 0.283
0.457 0.845 0.217
0.043 0.845 0.717
0.543 0.155 0.783
0.043 0.345 0.783
0.957 0.655 0.217
0.757 0.883 0.654
0.243 0.117 0.346
0.743 0.383 0.346
0.243 0.617 0.154
0.257 0.617 0.654
0.757 0.383 0.846
0.257 0.117 0.846
0.743 0.883 0.154
0.859 0.989 0.897
0.141 0.011 0.103
0.641 0.489 0.103
0.141 0.511 0.397
0.359 0.511 0.897
0.859 0.489 0.603
0.359 0.011 0.603
0.641 0.989 0.397
```

## Properties
mass density: 2726 kg/m3
formation energy: -94 meV per atom
MP2020-corrected energy: -28.80 eV/f.u.

=====

# Li2Al2Si3H4O12

A geometry-optimized Li2Al2Si3H4O12 structure (PBE-GGA, the Materials Project database).

Cell and atoms, written as POSCAR:
```
Li2Al2Si3H4O12
1.0
0.000 0.000 -6.534
-9.014 0.000 -3.267
0.000 9.425 -3.267
Li Al Si H O
4 4 6 8 24
direct
0.542 0.566 0.078
0.186 0.434 0.922
0.370 0.066 0.422
0.857 0.934 0.578
0.327 0.926 0.185
0.439 0.074 0.815
0.263 0.426 0.315
0.003 0.574 0.685
0.313 0.700 0.427
0.440 0.300 0.573
0.490 0.200 0.073
0.763 0.800 0.927
0.998 0.000 0.000
0.748 0.500 0.500
0.820 0.931 0.311
0.062 0.069 0.689
0.881 0.431 0.189
0.501 0.569 0.811
0.696 0.822 0.406
0.924 0.178 0.594
0.852 0.322 0.094
0.268 0.678 0.906
0.544 0.650 0.479
0.672 0.350 0.521
0.772 0.150 0.021
0.944 0.850 0.979
0.545 0.791 0.064
0.400 0.209 0.936
0.359 0.291 0.436
0.086 0.709 0.564
0.350 0.582 0.308
0.240 0.418 0.692
0.408 0.082 0.192
0.682 0.918 0.808
0.965 0.474 0.356
0.795 0.526 0.644
0.071 0.974 0.144
0.189 0.026 0.856
0.712 0.920 0.405
0.037 0.080 0.595
0.867 0.420 0.095
0.382 0.580 0.905
0.285 0.866 0.361
0.511 0.134 0.639
0.396 0.366 0.139
0.900 0.634 0.861
```

## Properties
mass density: 2083 kg/m3
formation energy: -2698 meV per atom
MP2020-corrected energy: -162.59 eV/f.u.